[1]
{
  "formula": "CaCl2",
  "functional": "PBE-GGA",
  "state": "optimized geometry",
  "cell": [[7.625, 0.000, 0.000], [0.000, 5.141, 0.000], [0.000, 0.000, 11.578]],
  "species": ["Ca", "Ca", "Ca", "Ca", "Cl", "Cl", "Cl", "Cl", "Cl", "Cl", "Cl", "Cl"],
  "frac_coords": [[0.140, 0.250, 0.119], [0.360, 0.750, 0.619], [0.640, 0.250, 0.381], [0.860, 0.750, 0.881], [0.027, 0.750, 0.685], [0.141, 0.750, 0.037], [0.359, 0.250, 0.537], [0.473, 0.250, 0.185], [0.527, 0.750, 0.815], [0.641, 0.750, 0.463], [0.859, 0.250, 0.963], [0.973, 0.250, 0.315]],
  "formation_enthalpy_0k_mev_per_atom": -2701,
  "vol_a3_per_cell": 453.9,
  "energy_ev_per_cell": -50.3,
  "magnetic_moment_mub_per_cell": 0.00
}


[2]
{
  "formula": "Pr3Gd3Mn23",
  "functional": "PBE-GGA",
  "state": "optimized geometry",
  "cell": [[4.360, 2.517, 6.991], [-4.360, 2.517, 6.991], [0.000, -5.034, 6.991]],
  "species": ["Pr", "Pr", "Pr", "Gd", "Gd", "Gd", "Mn", "Mn", "Mn", "Mn", "Mn", "Mn", "Mn", "Mn", "Mn", "Mn", "Mn", "Mn", "Mn", "Mn", "Mn", "Mn", "Mn", "Mn", "Mn", "Mn", "Mn", "Mn", "Mn"],
  "frac_coords": [[0.065, 0.468, 0.468], [0.468, 0.065, 0.468], [0.468, 0.468, 0.065], [0.057, 0.057, 0.473], [0.057, 0.473, 0.057], [0.473, 0.057, 0.057], [0.084, 0.084, 0.797], [0.084, 0.797, 0.084], [0.086, 0.086, 0.086], [0.127, 0.644, 0.644], [0.262, 0.764, 0.764], [0.263, 0.263, 0.773], [0.263, 0.773, 0.263], [0.397, 0.887, 0.887], [0.440, 0.440, 0.736], [0.440, 0.736, 0.440], [0.450, 0.450, 0.450], [0.644, 0.127, 0.644], [0.644, 0.644, 0.127], [0.644, 0.644, 0.644], [0.736, 0.440, 0.440], [0.764, 0.262, 0.764], [0.764, 0.764, 0.262], [0.766, 0.766, 0.766], [0.773, 0.263, 0.263], [0.797, 0.084, 0.084], [0.885, 0.885, 0.885], [0.887, 0.397, 0.887], [0.887, 0.887, 0.397]],
  "formation_enthalpy_0k_mev_per_atom": 819,
  "vol_a3_per_cell": 460.3,
  "energy_ev_per_cell": -243.5,
  "magnetic_moment_mub_per_cell": 0.03
}


[3]
{
  "formula": "Na10Ca6Ti2Si3S9O48",
  "functional": "PBE-GGA",
  "state": "optimized geometry",
  "cell": [[9.299, 0.000, 0.000], [-0.042, 15.995, 0.000], [-0.025, -0.078, 23.136]],
  "species": ["Na", "Na", "Na", "Na", "Na", "Na", "Na", "Na", "Na", "Na", "Na", "Na", "Na", "Na", "Na", "Na", "Na", "Na", "Na", "Na", "Na", "Na", "Na", "Na", "Na", "Na", "Na", "Na", "Na", "Na", "Ca", "Ca", "Ca", "Ca", "Ca", "Ca", "Ca", "Ca", "Ca", "Ca", "Ca", "Ca", "Ca", "Ca", "Ca", "Ca", "Ca", "Ca", "Ti", "Ti", "Ti", "Ti", "Ti", "Ti", "Si", "Si", "Si", "Si", "Si", "Si", "Si", "Si", "Si", "S", "S", "S", "S", "S", "S", "S", "S", "S", "S", "S", "S", "S", "S", "S", "S", "S", "S", "S", "S", "S", "S", "S", "S", "S", "S", "S", "O", "O", "O", "O", "O", "O", "O", "O", "O", "O", "O", "O", "O", "O", "O", "O", "O", "O", "O", "O", "O", "O", "O", "O", "O", "O", "O", "O", "O", "O", "O", "O", "O", "O", "O", "O", "O", "O", "O", "O", "O", "O", "O", "O", "O", "O", "O", "O", "O", "O", "O", "O", "O", "O", "O", "O", "O", "O", "O", "O", "O", "O", "O", "O", "O", "O", "O", "O", "O", "O", "O", "O", "O", "O", "O", "O", "O", "O", "O", "O", "O", "O", "O", "O", "O", "O", "O", "O", "O", "O", "O", "O", "O", "O", "O", "O", "O", "O", "O", "O", "O", "O", "O", "O", "O", "O", "O", "O", "O", "O", "O", "O", "O", "O", "O", "O", "O", "O", "O", "O", "O", "O", "O", "O", "O", "O", "O", "O", "O", "O", "O", "O", "O", "O", "O", "O", "O", "O", "O", "O", "O", "O", "O", "O"],
  "frac_coords": [[0.000, 0.000, 0.000], [0.003, 0.300, 0.666], [0.030, 0.996, 0.663], [0.157, 0.805, 0.756], [0.158, 0.473, 0.914], [0.171, 0.157, 0.082], [0.175, 0.156, 0.587], [0.179, 0.822, 0.253], [0.210, 0.492, 0.413], [0.317, 0.330, 0.504], [0.322, 0.655, 0.830], [0.334, 0.304, 0.164], [0.356, 0.672, 0.169], [0.365, 0.631, 0.502], [0.484, 0.130, 0.001], [0.492, 0.173, 0.668], [0.531, 0.829, 0.001], [0.648, 0.982, 0.913], [0.672, 0.654, 0.582], [0.675, 0.324, 0.752], [0.678, 0.656, 0.087], [0.680, 0.310, 0.256], [0.681, 0.980, 0.413], [0.833, 0.491, 0.164], [0.847, 0.799, 0.166], [0.850, 0.502, 0.501], [0.855, 0.135, 0.495], [0.871, 0.176, 0.183], [0.988, 0.317, 0.327], [0.997, 0.635, 0.997], [0.163, 0.144, 0.425], [0.171, 0.822, 0.399], [0.171, 0.822, 0.896], [0.173, 0.482, 0.065], [0.175, 0.148, 0.238], [0.175, 0.152, 0.930], [0.175, 0.157, 0.738], [0.176, 0.816, 0.604], [0.179, 0.486, 0.571], [0.666, 0.318, 0.397], [0.669, 0.985, 0.070], [0.672, 0.982, 0.565], [0.673, 0.653, 0.430], [0.676, 0.656, 0.238], [0.679, 0.322, 0.899], [0.686, 0.322, 0.101], [0.687, 0.653, 0.735], [0.698, 0.650, 0.922], [0.160, 0.494, 0.260], [0.182, 0.485, 0.767], [0.197, 0.828, 0.108], [0.653, 0.329, 0.609], [0.661, 0.983, 0.270], [0.681, 0.995, 0.763], [0.027, 0.640, 0.160], [0.029, 0.337, 0.169], [0.321, 0.340, 0.665], [0.321, 0.969, 0.002], [0.528, 0.469, 0.503], [0.528, 0.839, 0.166], [0.821, 0.139, 0.662], [0.860, 0.148, 0.330], [0.991, 0.647, 0.833], [0.004, 0.001, 0.829], [0.024, 0.669, 0.500], [0.025, 0.973, 0.504], [0.026, 0.313, 0.828], [0.317, 0.314, 0.331], [0.322, 0.635, 0.671], [0.325, 0.678, 0.005], [0.338, 0.997, 0.330], [0.358, 0.646, 0.331], [0.378, 0.317, 0.000], [0.385, 0.984, 0.672], [0.462, 0.485, 0.171], [0.472, 0.817, 0.499], [0.492, 0.146, 0.831], [0.512, 0.500, 0.829], [0.526, 0.177, 0.507], [0.531, 0.135, 0.169], [0.531, 0.812, 0.832], [0.821, 0.844, 0.671], [0.824, 0.813, 0.329], [0.825, 0.476, 0.002], [0.827, 0.168, 0.001], [0.845, 0.501, 0.331], [0.876, 0.481, 0.664], [0.883, 0.819, 0.005], [0.966, 0.318, 0.503], [0.973, 0.981, 0.164], [0.008, 0.498, 0.325], [0.027, 0.050, 0.882], [0.050, 0.264, 0.775], [0.050, 0.586, 0.103], [0.055, 0.397, 0.505], [0.058, 0.899, 0.161], [0.059, 0.716, 0.553], [0.060, 0.916, 0.832], [0.065, 0.043, 0.778], [0.065, 0.244, 0.502], [0.068, 0.932, 0.559], [0.071, 0.052, 0.173], [0.073, 0.924, 0.454], [0.078, 0.404, 0.226], [0.084, 0.712, 0.449], [0.089, 0.271, 0.879], [0.090, 0.059, 0.503], [0.090, 0.583, 0.501], [0.092, 0.559, 0.813], [0.096, 0.243, 0.173], [0.099, 0.397, 0.823], [0.103, 0.581, 0.216], [0.106, 0.380, 0.115], [0.114, 0.720, 0.832], [0.114, 0.732, 0.161], [0.235, 0.058, 0.004], [0.239, 0.396, 0.328], [0.249, 0.718, 0.675], [0.251, 0.367, 0.604], [0.254, 0.910, 0.061], [0.258, 0.271, 0.383], [0.263, 0.593, 0.009], [0.263, 0.720, 0.334], [0.264, 0.583, 0.721], [0.268, 0.568, 0.325], [0.268, 0.716, 0.951], [0.273, 0.404, 0.718], [0.276, 0.243, 0.675], [0.278, 0.912, 0.334], [0.281, 0.730, 0.057], [0.283, 0.263, 0.278], [0.284, 0.038, 0.279], [0.284, 0.391, 0.998], [0.287, 0.909, 0.949], [0.288, 0.595, 0.615], [0.289, 0.910, 0.672], [0.291, 0.238, 0.997], [0.293, 0.061, 0.677], [0.314, 0.046, 0.383], [0.345, 0.835, 0.161], [0.347, 0.495, 0.824], [0.354, 0.484, 0.506], [0.360, 0.480, 0.222], [0.366, 0.176, 0.504], [0.373, 0.820, 0.834], [0.375, 0.149, 0.175], [0.381, 0.812, 0.552], [0.381, 0.821, 0.447], [0.382, 0.501, 0.118], [0.400, 0.155, 0.779], [0.407, 0.135, 0.884], [0.445, 0.637, 0.385], [0.451, 0.654, 0.280], [0.459, 0.313, 0.056], [0.468, 0.992, 0.618], [0.473, 0.326, 0.333], [0.478, 0.319, 0.951], [0.479, 0.645, 0.676], [0.485, 0.677, 0.004], [0.486, 0.979, 0.723], [0.495, 0.984, 0.005], [0.503, 0.990, 0.325], [0.505, 0.336, 0.661], [0.534, 0.552, 0.882], [0.542, 0.404, 0.169], [0.558, 0.738, 0.498], [0.559, 0.095, 0.113], [0.561, 0.409, 0.450], [0.564, 0.753, 0.785], [0.566, 0.228, 0.561], [0.566, 0.555, 0.179], [0.569, 0.891, 0.500], [0.570, 0.415, 0.834], [0.570, 0.541, 0.778], [0.573, 0.743, 0.176], [0.575, 0.905, 0.219], [0.582, 0.067, 0.824], [0.585, 0.092, 0.511], [0.588, 0.779, 0.888], [0.589, 0.215, 0.455], [0.590, 0.219, 0.834], [0.591, 0.083, 0.217], [0.596, 0.410, 0.561], [0.599, 0.896, 0.823], [0.600, 0.868, 0.106], [0.607, 0.218, 0.172], [0.614, 0.559, 0.506], [0.735, 0.230, 0.663], [0.744, 0.078, 0.718], [0.751, 0.898, 0.324], [0.756, 0.062, 0.312], [0.759, 0.561, 0.001], [0.761, 0.082, 0.001], [0.761, 0.771, 0.379], [0.763, 0.233, 0.332], [0.763, 0.760, 0.676], [0.765, 0.214, 0.952], [0.770, 0.901, 0.720], [0.772, 0.881, 0.616], [0.774, 0.550, 0.672], [0.775, 0.425, 0.952], [0.783, 0.436, 0.058], [0.783, 0.541, 0.279], [0.785, 0.744, 0.003], [0.793, 0.398, 0.662], [0.793, 0.414, 0.335], [0.795, 0.082, 0.606], [0.795, 0.211, 0.057], [0.795, 0.897, 0.006], [0.799, 0.765, 0.275], [0.814, 0.549, 0.384], [0.840, 0.995, 0.821], [0.852, 0.337, 0.173], [0.856, 0.650, 0.172], [0.865, 0.658, 0.496], [0.865, 0.983, 0.500], [0.870, 0.326, 0.835], [0.870, 0.969, 0.213], [0.873, 0.310, 0.555], [0.875, 0.659, 0.783], [0.880, 0.322, 0.449], [0.897, 0.995, 0.109], [0.922, 0.629, 0.896], [0.942, 0.129, 0.391], [0.950, 0.492, 0.608], [0.967, 0.161, 0.275], [0.973, 0.811, 0.059], [0.974, 0.822, 0.953], [0.980, 0.827, 0.335], [0.981, 0.470, 0.712], [0.982, 0.846, 0.674], [0.984, 0.484, 0.997], [0.985, 0.158, 0.996], [0.993, 0.149, 0.673]],
  "formation_enthalpy_0k_mev_per_atom": -2555,
  "vol_a3_per_cell": 3441.3,
  "energy_ev_per_cell": -1495.1,
  "magnetic_moment_mub_per_cell": 0.00
}


[4]
{
  "formula": "CeSiPd",
  "functional": "PBE-GGA",
  "state": "optimized geometry",
  "cell": [[10.695, 0.000, 0.000], [0.000, 5.817, 0.000], [-0.264, 0.000, 7.851]],
  "species": ["Ce", "Ce", "Ce", "Ce", "Ce", "Ce", "Ce", "Ce", "Si", "Si", "Si", "Si", "Si", "Si", "Si", "Si", "Pd", "Pd", "Pd", "Pd", "Pd", "Pd", "Pd", "Pd"],
  "frac_coords": [[0.131, 0.130, 0.325], [0.131, 0.370, 0.825], [0.361, 0.637, 0.464], [0.361, 0.863, 0.964], [0.639, 0.137, 0.036], [0.639, 0.363, 0.536], [0.869, 0.630, 0.175], [0.869, 0.870, 0.675], [0.075, 0.636, 0.465], [0.075, 0.864, 0.965], [0.351, 0.150, 0.620], [0.351, 0.350, 0.120], [0.649, 0.650, 0.880], [0.649, 0.850, 0.380], [0.925, 0.136, 0.035], [0.925, 0.364, 0.535], [0.169, 0.610, 0.181], [0.169, 0.890, 0.681], [0.448, 0.097, 0.333], [0.448, 0.403, 0.833], [0.552, 0.597, 0.167], [0.552, 0.903, 0.667], [0.831, 0.110, 0.319], [0.831, 0.390, 0.819]],
  "formation_enthalpy_0k_mev_per_atom": -883,
  "vol_a3_per_cell": 488.4,
  "energy_ev_per_cell": -153.5
}


[5]
{
  "formula": "RbYMg6O8",
  "functional": "PBE-GGA",
  "state": "optimized geometry",
  "cell": [[4.633, 0.000, 0.000], [0.000, 4.633, 0.000], [0.000, 0.000, 9.162]],
  "species": ["Rb", "Y", "Mg", "Mg", "Mg", "Mg", "Mg", "Mg", "O", "O", "O", "O", "O", "O", "O", "O"],
  "frac_coords": [[0.000, 0.000, 0.000], [0.000, 0.000, 0.500], [0.000, 0.500, 0.232], [0.000, 0.500, 0.768], [0.500, 0.000, 0.232], [0.500, 0.000, 0.768], [0.500, 0.500, 0.000], [0.500, 0.500, 0.500], [0.000, 0.000, 0.267], [0.000, 0.000, 0.733], [0.000, 0.500, 0.000], [0.000, 0.500, 0.500], [0.500, 0.000, 0.000], [0.500, 0.000, 0.500], [0.500, 0.500, 0.251], [0.500, 0.500, 0.749]],
  "formation_enthalpy_0k_mev_per_atom": -2568,
  "e_above_lowest_polymorph_mev_per_atom": 80,
  "vol_a3_per_cell": 196.7,
  "energy_ev_per_cell": -92.2,
  "magnetic_moment_mub_per_cell": 0.00
}